Entry from the Materials Project database: crystalline BaPdO5 at its relaxed geometry (PBE).

Structure (POSCAR):
```
BaPdO5
1.0
5.253 0.000 0.000
0.000 6.134 0.000
-0.346 0.000 7.138
Ba Pd O
2 2 10
direct
0.000 0.000 0.000
0.500 0.071 0.500
0.253 0.537 0.250
0.747 0.537 0.750
0.000 0.838 0.500
0.063 0.706 0.662
0.107 0.265 0.296
0.399 0.809 0.202
0.432 0.367 0.839
0.500 0.234 0.000
0.568 0.367 0.161
0.601 0.809 0.798
0.893 0.265 0.704
0.937 0.706 0.338
```

Summary:
Total magnetization ... 4.004 μB per cell
Space group ... P2 (3)
ΔE to the lowest computed polymorph ... 312 meV/atom

---

Entry from the Materials Project database: crystalline Ba2Pd2O5 at its relaxed geometry (PBE).

Structure (POSCAR):
```
Ba2Pd2O5
1.0
4.096 0.000 0.000
0.000 4.096 0.000
0.000 0.000 8.461
Ba Pd O
2 2 5
direct
0.000 0.000 0.000
0.000 0.000 0.500
0.500 0.500 0.248
0.500 0.500 0.752
0.000 0.500 0.282
0.000 0.500 0.718
0.500 0.000 0.282
0.500 0.000 0.718
0.500 0.500 0.000
```

Summary:
Total magnetization ... 0.000 μB per cell
Space group ... P4/mmm (123)
Electronic total energy ... -5.717 eV/atom

---

Entry from the Materials Project database: crystalline BaPdO3 at its relaxed geometry (PBE).

Structure (POSCAR):
```
BaPdO3
1.0
4.128 0.000 0.000
0.000 4.128 0.000
0.000 0.000 4.128
Ba Pd O
1 1 3
direct
0.000 0.000 0.000
0.500 0.500 0.500
0.000 0.500 0.500
0.500 0.000 0.500
0.500 0.500 0.000
```

Summary:
Total magnetization ... 0.260 μB per cell
Space group ... Pm-3m (221)
Electronic total energy ... -5.662 eV/atom

---

Entry from the Materials Project database: crystalline BaPdO5 at its relaxed geometry (PBE).

Structure (POSCAR):
```
BaPdO5
1.0
4.901 0.000 0.000
0.000 5.533 0.000
-0.397 0.000 7.173
Ba Pd O
2 2 10
direct
0.000 0.132 0.250
0.000 0.868 0.750
0.500 0.500 0.000
0.500 0.500 0.500
0.089 0.427 0.945
0.089 0.573 0.445
0.429 0.198 0.663
0.429 0.802 0.163
0.500 0.316 0.250
0.500 0.684 0.750
0.571 0.198 0.837
0.571 0.802 0.337
0.911 0.427 0.555
0.911 0.573 0.055
```

Summary:
Total magnetization ... 0.000 μB per cell
Space group ... P2/c (13)
ΔE to the lowest computed polymorph ... 0 meV/atom

---

Entry from the Materials Project database: crystalline BaY2PdO5 at its relaxed geometry (PBE).

Structure (POSCAR):
```
BaY2PdO5
1.0
6.599 0.000 0.000
0.000 6.599 0.000
0.000 0.000 5.932
Ba Y Pd O
2 4 2 10
direct
0.000 0.000 0.000
0.500 0.500 0.000
0.174 0.326 0.500
0.326 0.826 0.500
0.674 0.174 0.500
0.826 0.674 0.500
0.000 0.500 0.000
0.500 0.000 0.000
0.000 0.000 0.500
0.140 0.640 0.260
0.140 0.640 0.740
0.360 0.140 0.260
0.360 0.140 0.740
0.500 0.500 0.500
0.640 0.860 0.260
0.640 0.860 0.740
0.860 0.360 0.260
0.860 0.360 0.740
```

Summary:
Total magnetization ... 0.000 μB per cell
Space group ... P4/mbm (127)
Electronic total energy ... -7.629 eV/atom

---

Entry from the Materials Project database: crystalline BaPr2O4 at its relaxed geometry (PBE).

Structure (POSCAR):
```
BaPr2O4
1.0
10.791 0.000 0.000
0.000 3.665 0.000
0.000 0.000 12.687
Ba Pr O
4 8 16
direct
0.249 0.250 0.147
0.251 0.750 0.647
0.749 0.250 0.353
0.751 0.750 0.853
0.075 0.250 0.887
0.080 0.250 0.389
0.420 0.750 0.889
0.425 0.750 0.387
0.575 0.250 0.613
0.580 0.250 0.111
0.920 0.750 0.611
0.925 0.750 0.113
0.014 0.750 0.783
0.071 0.250 0.577
0.123 0.750 0.019
0.212 0.750 0.328
0.288 0.250 0.828
0.377 0.250 0.519
0.429 0.750 0.077
0.486 0.250 0.283
0.514 0.750 0.717
0.571 0.250 0.923
0.623 0.750 0.481
0.712 0.750 0.172
0.788 0.250 0.672
0.877 0.250 0.981
0.929 0.750 0.423
0.986 0.250 0.217
```

Summary:
Space group ... Pnma (62)
Electronic total energy ... -7.552 eV/atom

---

Entry from the Materials Project database: crystalline Ba2PrRuO6 at its relaxed geometry (PBE).

Structure (POSCAR):
```
Ba2PrRuO6
1.0
0.000 4.316 4.316
4.316 0.000 4.316
4.316 4.316 0.000
Ba Pr Ru O
2 1 1 6
direct
0.250 0.250 0.250
0.750 0.750 0.750
0.000 0.000 0.000
0.500 0.500 0.500
0.271 0.271 0.729
0.271 0.729 0.271
0.271 0.729 0.729
0.729 0.271 0.271
0.729 0.271 0.729
0.729 0.729 0.271
```

Summary:
Total magnetization ... 3.000 μB per cell
Space group ... Fm-3m (225)
ΔE to the lowest computed polymorph ... 5 meV/atom

---

Entry from the Materials Project database: crystalline Ba2PrRuO6 at its relaxed geometry (PBE).

Structure (POSCAR):
```
Ba2PrRuO6
1.0
6.073 0.000 0.000
0.000 6.070 0.000
-6.062 0.000 8.664
Ba Pr Ru O
4 2 2 12
direct
0.249 0.004 0.250
0.249 0.496 0.750
0.751 0.504 0.250
0.751 0.996 0.750
0.500 0.000 0.000
0.500 0.500 0.500
0.000 0.000 0.500
0.000 0.500 0.000
0.203 0.738 0.506
0.203 0.762 0.006
0.216 0.001 0.730
0.216 0.499 0.230
0.268 0.197 0.507
0.268 0.303 0.007
0.732 0.697 0.993
0.732 0.803 0.493
0.784 0.501 0.770
0.784 0.999 0.270
0.797 0.238 0.994
0.797 0.262 0.494
```

Summary:
Total magnetization ... 6.000 μB per cell
Space group ... P2_1/c (14)
ΔE to the lowest computed polymorph ... 5 meV/atom

---

Entry from the Materials Project database: crystalline Ba3PrRu2O9 at its relaxed geometry (PBE).

Structure (POSCAR):
```
Ba3PrRu2O9
1.0
6.016 0.000 0.000
-3.008 5.210 0.000
0.000 0.000 15.022
Ba Pr Ru O
6 2 4 18
direct
0.000 0.000 0.250
0.000 0.000 0.750
0.333 0.667 0.106
0.333 0.667 0.394
0.667 0.333 0.606
0.667 0.333 0.894
0.000 0.000 0.000
0.000 0.000 0.500
0.333 0.667 0.667
0.333 0.667 0.833
0.667 0.333 0.167
0.667 0.333 0.333
0.018 0.509 0.750
0.178 0.357 0.594
0.178 0.357 0.906
0.178 0.822 0.594
0.178 0.822 0.906
0.357 0.178 0.094
0.357 0.178 0.406
0.491 0.509 0.750
0.491 0.982 0.750
0.509 0.018 0.250
0.509 0.491 0.250
0.643 0.822 0.594
0.643 0.822 0.906
0.822 0.178 0.094
0.822 0.178 0.406
0.822 0.643 0.094
0.822 0.643 0.406
0.982 0.491 0.250
```

Summary:
Total magnetization ... 6.006 μB per cell
Space group ... P6_3/mmc (194)
Electronic total energy ... -7.057 eV/atom

---

Entry from the Materials Project database: crystalline Ba2PrRuO6 at its relaxed geometry (PBE).

Structure (POSCAR):
```
Ba2PrRuO6
1.0
5.264 -3.037 0.000
5.264 3.037 0.000
-3.536 0.000 5.004
Ba Pr Ru O
2 1 1 6
direct
0.248 0.248 0.245
0.752 0.752 0.755
0.000 0.000 0.500
0.500 0.500 0.000
0.243 0.705 0.202
0.272 0.272 0.722
0.295 0.757 0.798
0.705 0.243 0.202
0.728 0.728 0.278
0.757 0.295 0.798
```

Summary:
Total magnetization ... 3.000 μB per cell
Space group ... C2/m (12)
ΔE to the lowest computed polymorph ... 0 meV/atom

---

Entry from the Materials Project database: crystalline BaPr2Sc2O7 at its relaxed geometry (PBE).

Structure (POSCAR):
```
BaPr2Sc2O7
1.0
5.864 0.000 0.000
0.000 5.864 0.000
0.000 0.000 20.633
Ba Pr Sc O
4 8 8 28
direct
0.239 0.239 0.000
0.261 0.739 0.500
0.739 0.261 0.500
0.761 0.761 0.000
0.226 0.226 0.184
0.226 0.226 0.816
0.274 0.726 0.316
0.274 0.726 0.684
0.726 0.274 0.316
0.726 0.274 0.684
0.774 0.774 0.184
0.774 0.774 0.816
0.243 0.243 0.399
0.243 0.243 0.601
0.257 0.743 0.101
0.257 0.743 0.899
0.743 0.257 0.101
0.743 0.257 0.899
0.757 0.757 0.399
0.757 0.757 0.601
0.000 0.000 0.094
0.000 0.000 0.372
0.000 0.000 0.628
0.000 0.000 0.906
0.000 0.500 0.113
0.000 0.500 0.387
0.000 0.500 0.613
0.000 0.500 0.887
0.188 0.812 0.209
0.188 0.812 0.791
0.217 0.217 0.500
0.283 0.717 0.000
0.312 0.312 0.291
0.312 0.312 0.709
0.500 0.000 0.113
0.500 0.000 0.387
0.500 0.000 0.613
0.500 0.000 0.887
0.500 0.500 0.128
0.500 0.500 0.406
0.500 0.500 0.594
0.500 0.500 0.872
0.688 0.688 0.291
0.688 0.688 0.709
0.717 0.283 0.000
0.783 0.783 0.500
0.812 0.188 0.209
0.812 0.188 0.791
```

Summary:
Total magnetization ... 0.003 μB per cell
Space group ... P4_2/mnm (136)
Electronic total energy ... -8.240 eV/atom

---

Entry from the Materials Project database: crystalline Ba2PrSeO6 at its relaxed geometry (PBE).

Structure (POSCAR):
```
Ba2PrSeO6
1.0
0.000 4.297 4.297
4.297 0.000 4.297
4.297 4.297 0.000
Ba Pr Se O
2 1 1 6
direct
0.250 0.250 0.250
0.750 0.750 0.750
0.000 0.000 0.000
0.500 0.500 0.500
0.271 0.271 0.729
0.271 0.729 0.271
0.271 0.729 0.729
0.729 0.271 0.271
0.729 0.271 0.729
0.729 0.729 0.271
```

Summary:
Total magnetization ... 0.001 μB per cell
Space group ... Fm-3m (225)
Electronic total energy ... -6.352 eV/atom